A relaxed structure of CeMoO4F. Source: Materials Project, functional GGA+U.

Geometry as CIF:
```
data_CeMoO4F
_symmetry_space_group_name_H-M 'P 1'
_symmetry_Int_Tables_number 1
_cell_length_a 6.622
_cell_length_b 7.045
_cell_length_c 10.148
_cell_angle_alpha 64.31
_cell_angle_beta 90.00
_cell_angle_gamma 90.00
loop_
_symmetry_equiv_pos_as_xyz
'x,y,z'
loop_
_atom_site_label
_atom_site_type_symbol
_atom_site_fract_x
_atom_site_fract_y
_atom_site_fract_z
_atom_site_occupancy
Mo1 Mo 0.864 0.334 0.335 1
Mo2 Mo 0.136 0.666 0.665 1
Mo3 Mo 0.636 0.334 0.835 1
Mo4 Mo 0.364 0.666 0.165 1
O1 O 0.837 0.555 0.372 1
O2 O 0.163 0.445 0.628 1
O3 O 0.608 0.439 0.636 1
O4 O 0.599 0.786 0.087 1
O5 O 0.901 0.786 0.587 1
O6 O 0.392 0.561 0.364 1
O7 O 0.641 0.164 0.419 1
O8 O 0.337 0.445 0.128 1
O9 O 0.099 0.214 0.413 1
O10 O 0.141 0.836 0.081 1
O11 O 0.108 0.561 0.864 1
O12 O 0.663 0.555 0.872 1
O13 O 0.401 0.214 0.913 1
O14 O 0.892 0.439 0.136 1
O15 O 0.359 0.836 0.581 1
O16 O 0.859 0.164 0.919 1
F1 F 0.383 0.987 0.240 1
F2 F 0.117 0.987 0.740 1
F3 F 0.617 0.013 0.760 1
F4 F 0.883 0.013 0.260 1
Ce1 Ce 0.369 0.197 0.577 1
Ce2 Ce 0.869 0.803 0.923 1
Ce3 Ce 0.631 0.803 0.423 1
Ce4 Ce 0.131 0.197 0.077 1
```

=====

A relaxed structure of TlV2SbO8. Source: Materials Project, functional GGA+U.

Geometry as CIF:
```
data_TlV2SbO8
_symmetry_space_group_name_H-M 'P 1'
_symmetry_Int_Tables_number 1
_cell_length_a 5.665
_cell_length_b 8.827
_cell_length_c 14.935
_cell_angle_alpha 90.00
_cell_angle_beta 90.00
_cell_angle_gamma 90.00
loop_
_symmetry_equiv_pos_as_xyz
'x,y,z'
loop_
_atom_site_label
_atom_site_type_symbol
_atom_site_fract_x
_atom_site_fract_y
_atom_site_fract_z
_atom_site_occupancy
O1 O 0.750 0.511 0.552 1
O2 O 0.496 0.763 0.461 1
O3 O 0.250 0.309 0.883 1
O4 O 0.250 0.626 0.633 1
O5 O 0.496 0.737 0.961 1
O6 O 0.750 0.115 0.680 1
O7 O 0.250 0.615 0.820 1
O8 O 0.996 0.263 0.039 1
O9 O 0.490 0.893 0.790 1
O10 O 0.504 0.237 0.539 1
O11 O 0.504 0.263 0.039 1
O12 O 0.004 0.737 0.961 1
O13 O 0.004 0.763 0.461 1
O14 O 0.750 0.126 0.867 1
O15 O 0.250 0.011 0.948 1
O16 O 0.010 0.893 0.790 1
O17 O 0.250 0.874 0.133 1
O18 O 0.250 0.489 0.448 1
O19 O 0.510 0.107 0.210 1
O20 O 0.990 0.107 0.210 1
O21 O 0.510 0.393 0.710 1
O22 O 0.250 0.191 0.383 1
O23 O 0.250 0.885 0.320 1
O24 O 0.996 0.237 0.539 1
O25 O 0.750 0.989 0.052 1
O26 O 0.990 0.393 0.710 1
O27 O 0.010 0.607 0.290 1
O28 O 0.750 0.691 0.117 1
O29 O 0.750 0.374 0.367 1
O30 O 0.490 0.607 0.290 1
O31 O 0.750 0.385 0.180 1
O32 O 0.750 0.809 0.617 1
V1 V 0.250 0.991 0.218 1
V2 V 0.750 0.009 0.782 1
V3 V 0.750 0.796 0.026 1
V4 V 0.250 0.296 0.474 1
V5 V 0.250 0.204 0.974 1
V6 V 0.750 0.704 0.526 1
V7 V 0.750 0.491 0.282 1
V8 V 0.250 0.509 0.718 1
Tl1 Tl 0.250 0.559 0.114 1
Tl2 Tl 0.750 0.441 0.886 1
Tl3 Tl 0.250 0.941 0.614 1
Tl4 Tl 0.750 0.059 0.386 1
Sb1 Sb 0.250 0.681 0.378 1
Sb2 Sb 0.750 0.181 0.122 1
Sb3 Sb 0.750 0.319 0.622 1
Sb4 Sb 0.250 0.819 0.878 1
```

=====

A relaxed structure of Li9Mn2Co5O16. Source: Materials Project, functional GGA+U.

Geometry as CIF:
```
data_Li9Mn2Co5O16
_symmetry_space_group_name_H-M 'P 1'
_symmetry_Int_Tables_number 1
_cell_length_a 5.007
_cell_length_b 7.729
_cell_length_c 7.766
_cell_angle_alpha 97.87
_cell_angle_beta 101.63
_cell_angle_gamma 102.64
loop_
_symmetry_equiv_pos_as_xyz
'x,y,z'
loop_
_atom_site_label
_atom_site_type_symbol
_atom_site_fract_x
_atom_site_fract_y
_atom_site_fract_z
_atom_site_occupancy
Mn1 Mn 0.003 0.997 0.007 1
Mn2 Mn 0.497 0.633 0.367 1
Li1 Li 0.999 0.878 0.624 1
Li2 Li 0.504 0.875 0.128 1
Li3 Li 0.502 0.240 0.248 1
Li4 Li 0.500 0.508 0.003 1
Li5 Li 0.501 0.752 0.760 1
Li6 Li 0.017 0.630 0.885 1
Li7 Li 0.982 0.117 0.368 1
Li8 Li 0.499 0.000 0.488 1
Li9 Li 0.004 0.374 0.123 1
Co1 Co 0.494 0.373 0.625 1
Co2 Co 0.997 0.498 0.500 1
Co3 Co 0.502 0.114 0.885 1
Co4 Co 0.000 0.752 0.248 1
Co5 Co 0.999 0.249 0.751 1
O1 O 0.221 0.988 0.237 1
O2 O 0.246 0.145 0.639 1
O3 O 0.748 0.521 0.257 1
O4 O 0.241 0.496 0.742 1
O5 O 0.730 0.612 0.603 1
O6 O 0.253 0.631 0.146 1
O7 O 0.749 0.855 0.370 1
O8 O 0.764 0.120 0.113 1
O9 O 0.254 0.398 0.384 1
O10 O 0.754 0.357 0.857 1
O11 O 0.770 0.003 0.772 1
O12 O 0.245 0.744 0.478 1
O13 O 0.244 0.233 0.999 1
O14 O 0.785 0.762 0.013 1
O15 O 0.249 0.891 0.878 1
O16 O 0.747 0.255 0.504 1
```

Results
As for the energy above the most stable polymorph in this dataset: 3 meV/atom.

=====

A relaxed structure of Fe7P8O32. Source: Materials Project, functional GGA+U.

Geometry as CIF:
```
data_Fe7P8O32
_symmetry_space_group_name_H-M 'P 1'
_symmetry_Int_Tables_number 1
_cell_length_a 7.773
_cell_length_b 7.773
_cell_length_c 11.178
_cell_angle_alpha 74.02
_cell_angle_beta 74.02
_cell_angle_gamma 101.50
loop_
_symmetry_equiv_pos_as_xyz
'x,y,z'
loop_
_atom_site_label
_atom_site_type_symbol
_atom_site_fract_x
_atom_site_fract_y
_atom_site_fract_z
_atom_site_occupancy
O1 O 0.309 0.309 0.875 1
O2 O 0.902 0.699 0.329 1
O3 O 0.280 0.583 0.677 1
O4 O 0.993 0.319 0.180 1
O5 O 0.510 0.708 0.821 1
O6 O 0.012 0.210 0.818 1
O7 O 0.806 0.806 0.877 1
O8 O 0.964 0.464 0.953 1
O9 O 0.084 0.783 0.677 1
O10 O 0.829 0.326 0.454 1
O11 O 0.218 0.417 0.325 1
O12 O 0.437 0.935 0.622 1
O13 O 0.698 0.193 0.126 1
O14 O 0.531 0.531 0.044 1
O15 O 0.785 0.501 0.171 1
O16 O 0.783 0.084 0.677 1
O17 O 0.583 0.280 0.677 1
O18 O 0.053 0.053 0.406 1
O19 O 0.042 0.042 0.043 1
O20 O 0.708 0.510 0.821 1
O21 O 0.417 0.218 0.325 1
O22 O 0.666 0.666 0.548 1
O23 O 0.553 0.553 0.384 1
O24 O 0.319 0.993 0.180 1
O25 O 0.193 0.698 0.126 1
O26 O 0.464 0.964 0.953 1
O27 O 0.935 0.437 0.622 1
O28 O 0.173 0.173 0.549 1
O29 O 0.326 0.829 0.454 1
O30 O 0.501 0.785 0.171 1
O31 O 0.210 0.012 0.818 1
O32 O 0.699 0.902 0.329 1
P1 P 0.858 0.362 0.103 1
P2 P 0.702 0.702 0.399 1
P3 P 0.145 0.145 0.894 1
P4 P 0.641 0.641 0.898 1
P5 P 0.213 0.213 0.399 1
P6 P 0.362 0.858 0.103 1
P7 P 0.292 0.791 0.601 1
P8 P 0.791 0.292 0.601 1
Fe1 Fe 0.481 0.979 0.775 1
Fe2 Fe 0.001 0.001 0.726 1
Fe3 Fe 0.990 0.501 0.274 1
Fe4 Fe 0.501 0.990 0.274 1
Fe5 Fe 0.979 0.481 0.775 1
Fe6 Fe 0.505 0.505 0.723 1
Fe7 Fe 0.520 0.520 0.224 1
```

=====

A relaxed structure of LiMnVP3O12. Source: Materials Project, functional GGA+U.

Geometry as CIF:
```
data_LiMnVP3O12
_symmetry_space_group_name_H-M 'P 1'
_symmetry_Int_Tables_number 1
_cell_length_a 8.272
_cell_length_b 8.288
_cell_length_c 8.853
_cell_angle_alpha 89.63
_cell_angle_beta 116.70
_cell_angle_gamma 119.05
loop_
_symmetry_equiv_pos_as_xyz
'x,y,z'
loop_
_atom_site_label
_atom_site_type_symbol
_atom_site_fract_x
_atom_site_fract_y
_atom_site_fract_z
_atom_site_occupancy
Mn1 Mn 0.289 0.153 0.434 1
Mn2 Mn 0.711 0.847 0.566 1
O1 O 0.361 0.835 0.822 1
O2 O 0.397 0.232 0.895 1
O3 O 0.997 0.464 0.182 1
O4 O 0.799 0.773 0.425 1
O5 O 0.755 0.528 0.913 1
O6 O 0.603 0.768 0.105 1
O7 O 0.378 0.111 0.275 1
O8 O 0.648 0.012 0.424 1
O9 O 0.387 0.615 0.411 1
O10 O 0.701 0.521 0.187 1
O11 O 0.201 0.227 0.575 1
O12 O 0.988 0.863 0.251 1
O13 O 0.857 0.748 0.738 1
O14 O 0.003 0.536 0.818 1
O15 O 0.245 0.472 0.087 1
O16 O 0.352 0.988 0.576 1
O17 O 0.682 0.170 0.890 1
O18 O 0.143 0.252 0.262 1
O19 O 0.613 0.385 0.589 1
O20 O 0.639 0.165 0.178 1
O21 O 0.318 0.830 0.110 1
O22 O 0.622 0.889 0.725 1
O23 O 0.012 0.137 0.749 1
O24 O 0.299 0.479 0.813 1
Li1 Li 0.947 0.260 0.876 1
Li2 Li 0.053 0.740 0.124 1
V1 V 0.309 0.657 0.948 1
V2 V 0.691 0.343 0.052 1
P1 P 0.794 0.545 0.753 1
P2 P 0.502 0.971 0.746 1
P3 P 0.780 0.740 0.248 1
P4 P 0.498 0.029 0.254 1
P5 P 0.206 0.455 0.247 1
P6 P 0.220 0.260 0.752 1
```

Results
As for the energy above the most stable polymorph in this dataset: 0 meV/atom.

=====

A relaxed structure of Li7Co5O12. Source: Materials Project, functional GGA+U.

Geometry as CIF:
```
data_Li7Co5O12
_symmetry_space_group_name_H-M 'P 1'
_symmetry_Int_Tables_number 1
_cell_length_a 5.015
_cell_length_b 9.698
_cell_length_c 8.650
_cell_angle_alpha 89.88
_cell_angle_beta 90.14
_cell_angle_gamma 99.19
loop_
_symmetry_equiv_pos_as_xyz
'x,y,z'
loop_
_atom_site_label
_atom_site_type_symbol
_atom_site_fract_x
_atom_site_fract_y
_atom_site_fract_z
_atom_site_occupancy
O1 O 0.142 0.891 0.162 1
O2 O 0.858 0.110 0.162 1
O3 O 0.347 0.113 0.659 1
O4 O 0.141 0.392 0.676 1
O5 O 0.109 0.890 0.832 1
O6 O 0.631 0.389 0.520 1
O7 O 0.115 0.384 0.985 1
O8 O 0.639 0.890 0.014 1
O9 O 0.877 0.114 0.506 1
O10 O 0.361 0.613 0.157 1
O11 O 0.381 0.111 0.325 1
O12 O 0.364 0.603 0.834 1
O13 O 0.103 0.376 0.334 1
O14 O 0.891 0.109 0.831 1
O15 O 0.653 0.886 0.659 1
O16 O 0.620 0.890 0.326 1
O17 O 0.861 0.607 0.676 1
O18 O 0.361 0.110 0.014 1
O19 O 0.367 0.611 0.523 1
O20 O 0.636 0.391 0.153 1
O21 O 0.641 0.394 0.829 1
O22 O 0.886 0.614 0.983 1
O23 O 0.122 0.887 0.506 1
O24 O 0.893 0.624 0.334 1
Co1 Co 0.001 0.499 0.833 1
Co2 Co 0.003 0.501 0.169 1
Co3 Co 0.499 0.501 0.002 1
Co4 Co 0.000 0.000 0.670 1
Co5 Co 0.501 0.499 0.668 1
Co6 Co 0.000 0.000 0.999 1
Co7 Co 0.500 0.000 0.160 1
Co8 Co 0.500 0.000 0.510 1
Co9 Co 0.000 0.000 0.331 1
Co10 Co 0.000 0.500 0.491 1
Li1 Li 0.751 0.245 0.671 1
Li2 Li 0.255 0.746 0.328 1
Li3 Li 0.500 0.000 0.836 1
Li4 Li 0.248 0.756 0.670 1
Li5 Li 0.748 0.745 0.495 1
Li6 Li 0.260 0.255 0.171 1
Li7 Li 0.251 0.254 0.495 1
Li8 Li 0.242 0.242 0.833 1
Li9 Li 0.500 0.501 0.332 1
Li10 Li 0.737 0.745 0.173 1
Li11 Li 0.758 0.758 0.833 1
Li12 Li 0.745 0.253 0.329 1
Li13 Li 0.249 0.755 0.002 1
Li14 Li 0.750 0.246 0.000 1
```

Results
As for the energy above the most stable polymorph in this dataset: 38 meV/atom.

=====

no.,ΔE_f (eV/atom)
1,-2.928
2,-2.075
3,-1.861
4,-2.190
5,-2.504
6,-1.725